Record 1
{"formula": "Mg149Mo", "functional": "PBE-GGA", "state": "relaxed", "space_group": "P-6m2", "formation_energy_ev_per_fu": -2.10, "total_energy_ev_per_atom": -1.676, "cell": [[13.764, -7.947, 0.000], [0.000, 15.894, 0.000], [0.000, 0.000, 15.621]], "species": ["Mg", "Mg", "Mg", "Mg", "Mg", "Mg", "Mg", "Mg", "Mg", "Mg", "Mg", "Mg", "Mg", "Mg", "Mg", "Mg", "Mg", "Mg", "Mg", "Mg", "Mg", "Mg", "Mg", "Mg", "Mg", "Mg", "Mg", "Mg", "Mg", "Mg", "Mg", "Mg", "Mg", "Mg", "Mg", "Mg", "Mg", "Mg", "Mg", "Mg", "Mg", "Mg", "Mg", "Mg", "Mg", "Mg", "Mg", "Mg", "Mg", "Mg", "Mg", "Mg", "Mg", "Mo", "Mg", "Mg", "Mg", "Mg", "Mg", "Mg", "Mg", "Mg", "Mg", "Mg", "Mg", "Mg", "Mg", "Mg", "Mg", "Mg", "Mg", "Mg", "Mg", "Mg", "Mg", "Mg", "Mg", "Mg", "Mg", "Mg", "Mg", "Mg", "Mg", "Mg", "Mg", "Mg", "Mg", "Mg", "Mg", "Mg", "Mg", "Mg", "Mg", "Mg", "Mg", "Mg", "Mg", "Mg", "Mg", "Mg", "Mg", "Mg", "Mg", "Mg", "Mg", "Mg", "Mg", "Mg", "Mg", "Mg", "Mg", "Mg", "Mg", "Mg", "Mg", "Mg", "Mg", "Mg", "Mg", "Mg", "Mg", "Mg", "Mg", "Mg", "Mg", "Mg", "Mg", "Mg", "Mg", "Mg", "Mg", "Mg", "Mg", "Mg", "Mg", "Mg", "Mg", "Mg", "Mg", "Mg", "Mg", "Mg", "Mg", "Mg", "Mg", "Mg", "Mg", "Mg", "Mg", "Mg"], "frac_coords": [[0.000, 0.000, 0.333], [0.268, 0.134, 0.834], [0.267, 0.733, 0.834], [0.000, 0.199, 0.669], [0.866, 0.533, 0.167], [0.603, 0.000, 0.000], [0.600, 0.800, 0.333], [0.064, 0.936, 0.158], [0.200, 0.600, 0.333], [0.467, 0.134, 0.833], [0.199, 0.801, 0.000], [0.067, 0.533, 0.834], [0.399, 0.200, 0.000], [0.066, 0.734, 0.500], [0.067, 0.332, 0.166], [0.800, 0.601, 0.000], [0.668, 0.735, 0.166], [0.667, 0.734, 0.500], [0.809, 0.809, 0.000], [0.668, 0.735, 0.834], [0.400, 0.600, 0.000], [0.400, 0.600, 0.667], [0.400, 0.800, 0.333], [0.399, 0.000, 0.333], [0.667, 0.533, 0.500], [0.866, 0.732, 0.166], [0.066, 0.333, 0.500], [0.000, 0.603, 0.000], [0.800, 0.400, 0.667], [0.872, 0.936, 0.158], [0.467, 0.533, 0.834], [0.266, 0.734, 0.500], [0.600, 0.800, 0.667], [0.467, 0.733, 0.166], [0.467, 0.134, 0.167], [0.266, 0.934, 0.500], [0.600, 0.400, 0.333], [0.000, 0.199, 0.331], [0.397, 0.397, 0.000], [0.000, 0.400, 0.667], [0.267, 0.533, 0.834], [0.800, 0.400, 0.333], [0.064, 0.128, 0.158], [0.467, 0.734, 0.500], [0.067, 0.735, 0.166], [0.600, 0.200, 0.667], [0.064, 0.936, 0.842], [0.866, 0.533, 0.500], [0.000, 0.400, 0.333], [0.266, 0.333, 0.500], [0.199, 0.398, 0.000], [0.467, 0.134, 0.500], [0.067, 0.933, 0.500], [0.000, 0.000, 0.000], [0.265, 0.933, 0.166], [0.866, 0.333, 0.167], [0.667, 0.934, 0.500], [0.999, 0.191, 0.000], [0.267, 0.733, 0.166], [0.801, 0.801, 0.669], [0.265, 0.332, 0.834], [0.800, 0.200, 0.334], [0.999, 0.809, 0.000], [0.600, 0.000, 0.667], [0.801, 0.801, 0.331], [0.467, 0.933, 0.834], [0.467, 0.934, 0.500], [0.400, 0.800, 0.000], [0.400, 0.800, 0.667], [0.467, 0.333, 0.167], [0.667, 0.533, 0.833], [0.397, 0.000, 0.000], [0.000, 0.000, 0.667], [0.000, 0.801, 0.669], [0.866, 0.533, 0.833], [0.467, 0.533, 0.500], [0.600, 0.601, 0.667], [0.800, 0.200, 0.666], [0.467, 0.533, 0.166], [0.667, 0.333, 0.500], [0.866, 0.732, 0.834], [0.667, 0.333, 0.166], [0.199, 0.000, 0.669], [0.199, 0.199, 0.331], [0.467, 0.333, 0.833], [0.603, 0.603, 0.000], [0.668, 0.933, 0.166], [0.800, 0.600, 0.666], [0.801, 0.000, 0.669], [0.067, 0.533, 0.166], [0.800, 0.200, 0.000], [0.200, 0.600, 0.000], [0.199, 0.000, 0.331], [0.000, 0.601, 0.333], [0.200, 0.800, 0.333], [0.268, 0.134, 0.166], [0.200, 0.400, 0.667], [0.867, 0.734, 0.500], [0.266, 0.133, 0.500], [0.400, 0.200, 0.334], [0.200, 0.800, 0.667], [0.467, 0.733, 0.834], [0.199, 0.199, 0.669], [0.800, 0.600, 0.334], [0.667, 0.134, 0.500], [0.000, 0.601, 0.667], [0.200, 0.600, 0.667], [0.866, 0.333, 0.833], [0.801, 0.000, 0.331], [0.191, 0.001, 0.000], [0.801, 0.400, 0.000], [0.600, 0.199, 0.000], [0.399, 0.400, 0.667], [0.600, 0.601, 0.333], [0.067, 0.332, 0.834], [0.067, 0.735, 0.834], [0.867, 0.933, 0.500], [0.400, 0.600, 0.333], [0.667, 0.134, 0.833], [0.867, 0.133, 0.500], [0.866, 0.333, 0.500], [0.200, 0.400, 0.333], [0.467, 0.333, 0.500], [0.667, 0.333, 0.834], [0.667, 0.134, 0.167], [0.064, 0.128, 0.842], [0.467, 0.933, 0.166], [0.399, 0.000, 0.667], [0.866, 0.134, 0.834], [0.668, 0.933, 0.834], [0.400, 0.200, 0.666], [0.000, 0.397, 0.000], [0.600, 0.400, 0.667], [0.602, 0.801, 0.000], [0.667, 0.533, 0.167], [0.600, 0.200, 0.333], [0.600, 0.400, 0.000], [0.399, 0.400, 0.333], [0.600, 0.000, 0.333], [0.265, 0.933, 0.834], [0.267, 0.533, 0.166], [0.866, 0.134, 0.166], [0.265, 0.332, 0.166], [0.809, 0.001, 0.000], [0.000, 0.801, 0.331], [0.191, 0.191, 0.000], [0.066, 0.533, 0.500], [0.067, 0.133, 0.500], [0.266, 0.533, 0.500], [0.872, 0.936, 0.842]]}

Record 2
{"formula": "Ho2ScNbO7", "functional": "PBE-GGA", "state": "relaxed", "space_group": "Imma", "formation_energy_ev_per_fu": -40.73, "total_energy_ev_per_atom": -8.741, "cell": [[-3.635, 3.712, 5.206], [3.635, -3.712, 5.206], [3.635, 3.712, -5.206]], "species": ["Ho", "Sc", "O", "O", "Nb", "O", "O", "Ho", "O", "O", "O", "O", "Nb", "O", "O", "O", "Ho", "Sc", "O", "O", "Ho", "O"], "frac_coords": [[0.500, 0.500, 0.000], [0.000, 0.000, 0.500], [0.655, 0.921, 0.325], [0.655, 0.330, 0.734], [0.000, 0.000, 0.000], [0.904, 0.670, 0.825], [0.674, 0.924, 0.750], [0.000, 0.500, 0.500], [0.904, 0.079, 0.234], [0.345, 0.670, 0.266], [0.096, 0.921, 0.766], [0.096, 0.330, 0.175], [0.500, 0.000, 0.500], [0.379, 0.629, 0.750], [0.102, 0.352, 0.750], [0.898, 0.648, 0.250], [0.500, 0.500, 0.500], [0.000, 0.500, 0.000], [0.621, 0.371, 0.250], [0.345, 0.079, 0.675], [0.500, 0.000, 0.000], [0.326, 0.076, 0.250]]}

Record 3
{"formula": "HfMg6Cr", "functional": "PBE-GGA", "state": "relaxed", "formation_energy_ev_per_fu": 1.62, "total_energy_ev_per_atom": -3.449, "relative_energy_ev_per_atom": 0.000, "cell": [[-1.100, 1.462, -4.597], [-5.798, -2.230, 0.679], [-3.308, 9.792, 3.907]], "species": ["Mg", "Hf", "Mg", "Mg", "Mg", "Mg", "Cr", "Hf", "Mg", "Mg", "Cr", "Mg", "Mg", "Mg", "Mg", "Mg"], "frac_coords": [[0.000, 0.000, 0.333], [0.500, 0.500, 0.180], [0.000, 0.755, 0.582], [0.500, 0.000, 0.164], [0.000, 0.255, 0.082], [0.500, 0.257, 0.420], [0.000, 0.000, 0.819], [0.500, 0.000, 0.680], [0.000, 0.500, 0.833], [0.500, 0.243, 0.920], [0.000, 0.500, 0.319], [0.500, 0.500, 0.664], [0.500, 0.743, 0.420], [0.000, 0.745, 0.082], [0.500, 0.757, 0.920], [0.000, 0.245, 0.582]]}

Record 4
{"formula": "AlPO4", "functional": "PBE-GGA", "state": "relaxed", "space_group": "C2", "formation_energy_ev_per_fu": -18.68, "total_energy_ev_per_atom": -7.481, "cell": [[2.066, -6.391, -5.676], [6.517, -3.885, -4.445], [2.161, -8.939, 10.374]], "species": ["Al", "O", "O", "O", "O", "O", "O", "O", "O", "Al", "O", "O", "O", "P", "Al", "O", "O", "O", "O", "O", "Al", "P", "P", "O", "O", "P", "O", "O", "O", "Al", "O", "O", "P", "O", "P", "Al"], "frac_coords": [[0.902, 0.761, 0.915], [0.228, 0.029, 0.202], [0.856, 0.656, 0.592], [0.176, 0.555, 0.991], [0.251, 0.773, 0.759], [0.802, 0.249, 0.254], [0.537, 0.729, 0.521], [0.751, 0.198, 0.746], [0.713, 0.547, 0.689], [0.600, 0.497, 0.769], [0.271, 0.463, 0.479], [0.687, 0.473, 0.887], [0.445, 0.824, 0.009], [0.450, 0.221, 0.413], [0.966, 0.736, 0.539], [0.735, 0.989, 0.453], [0.527, 0.313, 0.113], [0.916, 0.360, 0.038], [0.361, 0.184, 0.092], [0.816, 0.639, 0.908], [0.239, 0.098, 0.085], [0.779, 0.550, 0.587], [0.997, 0.894, 0.733], [0.640, 0.084, 0.962], [0.344, 0.144, 0.408], [0.106, 0.003, 0.267], [0.168, 0.986, 0.373], [0.971, 0.772, 0.798], [0.227, 0.749, 0.241], [0.264, 0.034, 0.461], [0.011, 0.265, 0.547], [0.453, 0.287, 0.311], [0.426, 0.283, 0.040], [0.014, 0.832, 0.627], [0.717, 0.574, 0.960], [0.503, 0.400, 0.231]]}